Density functional theory data (GGA-PBE) for crystalline Rb2Cu3H2S3O14 at its relaxed geometry.

Unit cell a=16.334 b=17.688 c=5.283 alpha=90.00 beta=90.00 gamma=90.00
Element x y z (fractional)
Rb1 0.115 0.055 0.222
Rb2 0.115 0.445 0.222
Rb3 0.385 0.555 0.722
Rb4 0.385 0.945 0.722
Rb5 0.615 0.055 0.278
Rb6 0.615 0.445 0.278
Rb7 0.885 0.555 0.778
Rb8 0.885 0.945 0.778
Cu1 0.043 0.750 0.602
Cu2 0.213 0.678 0.204
Cu3 0.213 0.822 0.204
Cu4 0.287 0.178 0.704
Cu5 0.287 0.322 0.704
Cu6 0.457 0.250 0.102
Cu7 0.543 0.750 0.898
Cu8 0.713 0.678 0.296
Cu9 0.713 0.822 0.296
Cu10 0.787 0.178 0.796
Cu11 0.787 0.322 0.796
Cu12 0.957 0.250 0.398
H1 0.134 0.250 0.303
H2 0.238 0.250 0.600
H3 0.262 0.750 0.100
H4 0.366 0.750 0.803
H5 0.634 0.250 0.197
H6 0.738 0.250 0.900
H7 0.762 0.750 0.400
H8 0.866 0.750 0.697
S1 0.118 0.250 0.900
S2 0.131 0.587 0.668
S3 0.131 0.913 0.668
S4 0.369 0.087 0.168
S5 0.369 0.413 0.168
S6 0.382 0.750 0.400
S7 0.618 0.250 0.600
S8 0.631 0.587 0.832
S9 0.631 0.913 0.832
S10 0.869 0.087 0.332
S11 0.869 0.413 0.332
S12 0.882 0.750 0.100
O1 0.047 0.250 0.735
O2 0.057 0.639 0.648
O3 0.057 0.861 0.648
O4 0.068 0.750 0.966
O5 0.084 0.250 0.195
O6 0.099 0.510 0.712
O7 0.099 0.990 0.712
O8 0.147 0.750 0.968
O9 0.166 0.180 0.889
O10 0.166 0.320 0.889
O11 0.175 0.590 0.417
O12 0.175 0.910 0.417
O13 0.189 0.608 0.871
O14 0.189 0.892 0.871
O15 0.311 0.108 0.371
O16 0.311 0.392 0.371
O17 0.325 0.090 0.917
O18 0.325 0.410 0.917
O19 0.334 0.680 0.389
O20 0.334 0.820 0.389
O21 0.353 0.250 0.468
O22 0.401 0.010 0.212
O23 0.401 0.490 0.212
O24 0.416 0.750 0.695
O25 0.432 0.250 0.466
O26 0.443 0.139 0.148
O27 0.443 0.361 0.148
O28 0.453 0.750 0.235
O29 0.547 0.250 0.765
O30 0.557 0.639 0.852
O31 0.557 0.861 0.852
O32 0.568 0.750 0.534
O33 0.584 0.250 0.305
O34 0.599 0.510 0.788
O35 0.599 0.990 0.788
O36 0.647 0.750 0.532
O37 0.666 0.180 0.611
O38 0.666 0.320 0.611
O39 0.675 0.590 0.083
O40 0.675 0.910 0.083
O41 0.689 0.608 0.629
O42 0.689 0.892 0.629
O43 0.811 0.108 0.129
O44 0.811 0.392 0.129
O45 0.825 0.090 0.583
O46 0.825 0.410 0.583
O47 0.834 0.680 0.111
O48 0.834 0.820 0.111
O49 0.853 0.250 0.032
O50 0.901 0.010 0.288
O51 0.901 0.490 0.288
O52 0.916 0.750 0.805
O53 0.932 0.250 0.034
O54 0.943 0.139 0.352
O55 0.943 0.361 0.352
O56 0.953 0.750 0.265

ρ = 2.98 g/cm³
Calculated formation energy = -1.4214 eV/atom
DFT total energy = -508.886 eV per cell
MP2020-corrected energy = -547.358 eV per cell
Magnetization = 1.1 μB per formula unit
Space group = No. 62
Volume = 15.90 A^3/atom